Entry from the Materials Project: MgFeSi2O6 after structural relaxation (PBE with a Hubbard U).

Results
Space group: No. 61
Calculated volume: 11.21 Å³ per atom
Calculated formation energy: -2.8930 eV per atom

Lattice parameters (Å, degrees): 5.291 9.094 18.630 90.00 90.00 90.00
Element x y z (fractional)
O (0.676, 0.978, 0.932)
O (0.539, 0.004, 0.686)
O (0.528, 0.156, 0.814)
O (0.833, 0.219, 0.697)
O (0.961, 0.504, 0.314)
O (0.324, 0.022, 0.068)
O (0.528, 0.656, 0.686)
O (0.667, 0.719, 0.303)
O (0.424, 0.800, 0.449)
O (0.924, 0.700, 0.449)
O (0.972, 0.656, 0.186)
O (0.576, 0.200, 0.551)
O (0.961, 0.004, 0.186)
O (0.472, 0.844, 0.186)
O (0.167, 0.281, 0.197)
O (0.039, 0.496, 0.686)
O (0.972, 0.156, 0.314)
O (0.824, 0.978, 0.432)
O (0.333, 0.781, 0.803)
O (0.576, 0.700, 0.949)
O (0.424, 0.300, 0.051)
O (0.676, 0.478, 0.568)
O (0.333, 0.281, 0.697)
O (0.176, 0.022, 0.568)
O (0.281, 0.160, 0.438)
O (0.461, 0.496, 0.186)
O (0.281, 0.660, 0.062)
O (0.719, 0.340, 0.938)
O (0.833, 0.719, 0.803)
O (0.824, 0.478, 0.068)
O (0.924, 0.200, 0.051)
O (0.667, 0.219, 0.197)
O (0.028, 0.344, 0.814)
O (0.472, 0.344, 0.314)
O (0.176, 0.522, 0.932)
O (0.076, 0.300, 0.551)
O (0.461, 0.996, 0.314)
O (0.781, 0.840, 0.062)
O (0.219, 0.660, 0.562)
O (0.219, 0.160, 0.938)
O (0.539, 0.504, 0.814)
O (0.076, 0.800, 0.949)
O (0.028, 0.844, 0.686)
O (0.719, 0.840, 0.562)
O (0.781, 0.340, 0.438)
O (0.167, 0.781, 0.303)
O (0.039, 0.996, 0.814)
O (0.324, 0.522, 0.432)
Si (0.951, 0.661, 0.274)
Si (0.276, 0.665, 0.974)
Si (0.276, 0.165, 0.526)
Si (0.049, 0.839, 0.774)
Si (0.451, 0.839, 0.274)
Si (0.951, 0.161, 0.226)
Si (0.724, 0.335, 0.026)
Si (0.049, 0.339, 0.726)
Si (0.776, 0.835, 0.974)
Si (0.724, 0.835, 0.474)
Si (0.776, 0.335, 0.526)
Si (0.549, 0.161, 0.726)
Si (0.451, 0.339, 0.226)
Si (0.549, 0.661, 0.774)
Si (0.224, 0.665, 0.474)
Si (0.224, 0.165, 0.026)
Mg (0.360, 0.493, 0.626)
Mg (0.860, 0.507, 0.874)
Mg (0.140, 0.493, 0.126)
Mg (0.140, 0.993, 0.374)
Mg (0.640, 0.007, 0.126)
Mg (0.360, 0.993, 0.874)
Mg (0.860, 0.007, 0.626)
Mg (0.640, 0.507, 0.374)
Fe (0.636, 0.653, 0.123)
Fe (0.864, 0.153, 0.877)
Fe (0.864, 0.653, 0.623)
Fe (0.636, 0.153, 0.377)
Fe (0.364, 0.847, 0.623)
Fe (0.364, 0.347, 0.877)
Fe (0.136, 0.347, 0.377)
Fe (0.136, 0.847, 0.123)

Entry from the Materials Project: AlFe3S6O42 after structural relaxation (PBE with a Hubbard U).

Results
Space group: No. 163
Calculated volume: 17.19 Å³ per atom
Calculated formation energy: -0.4983 eV per atom

Lattice parameters (Å, degrees): 10.928 10.928 17.284 90.00 90.00 120.00
Element x y z (fractional)
O (0.502, 0.718, 0.561)
O (0.841, 0.908, 0.061)
O (0.651, 0.971, 0.590)
O (0.685, 0.894, 0.845)
O (0.933, 0.841, 0.939)
O (0.209, 0.894, 0.655)
O (0.416, 0.620, 0.075)
O (0.106, 0.315, 0.655)
O (0.865, 0.485, 0.761)
O (0.416, 0.795, 0.425)
O (0.784, 0.282, 0.061)
O (0.791, 0.685, 0.155)
O (0.216, 0.718, 0.939)
O (0.482, 0.822, 0.684)
O (0.380, 0.795, 0.075)
O (0.339, 0.518, 0.684)
O (0.178, 0.518, 0.816)
O (0.339, 0.822, 0.816)
O (0.620, 0.416, 0.575)
O (0.518, 0.339, 0.184)
O (0.791, 0.106, 0.345)
O (0.349, 0.320, 0.090)
O (0.795, 0.380, 0.575)
O (0.619, 0.135, 0.761)
O (0.380, 0.584, 0.425)
O (0.515, 0.135, 0.739)
O (0.485, 0.619, 0.239)
O (0.092, 0.159, 0.439)
O (0.209, 0.315, 0.845)
O (0.908, 0.841, 0.561)
O (0.502, 0.784, 0.939)
O (0.894, 0.209, 0.155)
O (0.092, 0.933, 0.061)
O (0.584, 0.205, 0.575)
O (0.680, 0.029, 0.090)
O (0.651, 0.680, 0.910)
O (0.933, 0.092, 0.561)
O (0.971, 0.651, 0.090)
O (0.067, 0.159, 0.061)
O (0.865, 0.381, 0.739)
O (0.908, 0.067, 0.939)
O (0.822, 0.482, 0.184)
O (0.282, 0.498, 0.939)
O (0.894, 0.685, 0.345)
O (0.216, 0.498, 0.561)
O (0.159, 0.092, 0.939)
O (0.718, 0.216, 0.439)
O (0.841, 0.933, 0.439)
O (0.381, 0.515, 0.261)
O (0.515, 0.381, 0.761)
O (0.381, 0.865, 0.239)
O (0.282, 0.784, 0.561)
O (0.784, 0.502, 0.439)
O (0.482, 0.661, 0.816)
O (0.315, 0.106, 0.155)
O (0.135, 0.619, 0.261)
O (0.680, 0.651, 0.410)
O (0.619, 0.485, 0.739)
O (0.685, 0.791, 0.655)
O (0.584, 0.380, 0.925)
O (0.498, 0.282, 0.439)
O (0.498, 0.216, 0.061)
O (0.067, 0.908, 0.439)
O (0.971, 0.320, 0.410)
O (0.661, 0.482, 0.316)
O (0.106, 0.791, 0.845)
O (0.320, 0.971, 0.910)
O (0.178, 0.661, 0.684)
O (0.718, 0.502, 0.061)
O (0.159, 0.067, 0.561)
O (0.029, 0.349, 0.910)
O (0.661, 0.178, 0.184)
O (0.029, 0.680, 0.590)
O (0.135, 0.515, 0.239)
O (0.315, 0.209, 0.345)
O (0.822, 0.339, 0.316)
O (0.349, 0.029, 0.410)
O (0.205, 0.620, 0.425)
O (0.320, 0.349, 0.590)
O (0.795, 0.416, 0.925)
O (0.205, 0.584, 0.075)
O (0.518, 0.178, 0.316)
O (0.485, 0.865, 0.261)
O (0.620, 0.205, 0.925)
S (0.829, 0.243, 0.377)
S (0.585, 0.757, 0.877)
S (0.171, 0.415, 0.877)
S (0.829, 0.585, 0.123)
S (0.243, 0.415, 0.623)
S (0.585, 0.829, 0.623)
S (0.757, 0.171, 0.123)
S (0.415, 0.243, 0.123)
S (0.243, 0.829, 0.877)
S (0.415, 0.171, 0.377)
S (0.171, 0.757, 0.623)
S (0.757, 0.585, 0.377)
Al (0.000, 0.000, 0.000)
Al (0.000, 0.000, 0.500)
Fe (0.667, 0.333, 0.250)
Fe (0.667, 0.333, 0.500)
Fe (0.333, 0.667, 0.000)
Fe (0.333, 0.667, 0.750)
Fe (0.333, 0.667, 0.500)
Fe (0.667, 0.333, 0.000)

Entry from the Materials Project: CaSm4V4O12 after structural relaxation (PBE with a Hubbard U).

Results
Space group: No. 1
Calculated volume: 13.09 Å³ per atom
Calculated formation energy: -2.9661 eV per atom

Lattice parameters (Å, degrees): 5.852 6.142 7.726 91.38 91.67 82.09
Element x y z (fractional)
O (0.842, 0.708, 0.930)
O (0.780, 0.646, 0.556)
O (0.205, 0.357, 0.458)
O (0.108, 0.054, 0.756)
O (0.535, 0.448, 0.249)
O (0.881, 0.947, 0.249)
O (0.312, 0.817, 0.449)
O (0.661, 0.160, 0.540)
O (0.392, 0.557, 0.753)
O (0.666, 0.173, 0.951)
O (0.330, 0.832, 0.046)
O (0.121, 0.284, 0.083)
Sm (0.509, 0.927, 0.749)
Sm (0.142, 0.628, 0.210)
Sm (0.456, 0.069, 0.257)
Sm (0.037, 0.439, 0.749)
Ca (0.883, 0.297, 0.329)
V (0.488, 0.501, 0.513)
V (0.972, 0.920, 0.532)
V (0.977, 0.010, 0.989)
V (0.570, 0.508, 0.988)

Entry from the Materials Project: VCoO4 after structural relaxation (PBE with a Hubbard U).

Results
Space group: No. 62
Calculated volume: 11.20 Å³ per atom
Calculated formation energy: -1.7325 eV per atom

Lattice parameters (Å, degrees): 4.627 5.562 10.447 90.00 90.00 90.00
Element x y z (fractional)
O (0.662, 0.750, 0.426)
O (0.338, 0.250, 0.574)
O (0.747, 0.989, 0.178)
O (0.162, 0.250, 0.074)
O (0.253, 0.011, 0.822)
O (0.247, 0.489, 0.322)
O (0.778, 0.250, 0.393)
O (0.222, 0.750, 0.607)
O (0.722, 0.250, 0.893)
O (0.838, 0.750, 0.926)
O (0.247, 0.011, 0.322)
O (0.747, 0.511, 0.178)
O (0.753, 0.989, 0.678)
O (0.753, 0.511, 0.678)
O (0.253, 0.489, 0.822)
O (0.278, 0.750, 0.107)
Co (0.018, 0.750, 0.761)
Co (0.518, 0.250, 0.739)
Co (0.982, 0.250, 0.239)
Co (0.482, 0.750, 0.261)
V (0.586, 0.750, 0.587)
V (0.086, 0.250, 0.913)
V (0.414, 0.250, 0.413)
V (0.914, 0.750, 0.087)

Entry from the Materials Project: CrWO6 after structural relaxation (PBE with a Hubbard U).

Results
Space group: No. 14
Calculated volume: 11.91 Å³ per atom
Calculated formation energy: -1.6319 eV per atom

Lattice parameters (Å, degrees): 5.205 5.051 8.835 55.15 90.00 90.00
Element x y z (fractional)
W (0.500, 0.000, 0.000)
W (0.000, 0.000, 0.500)
O (0.517, 0.838, 0.258)
O (0.303, 0.743, 0.549)
O (0.211, 0.356, 0.452)
O (0.017, 0.162, 0.242)
O (0.983, 0.838, 0.758)
O (0.197, 0.743, 0.049)
O (0.697, 0.257, 0.451)
O (0.483, 0.162, 0.742)
O (0.711, 0.644, 0.048)
O (0.789, 0.644, 0.548)
O (0.289, 0.356, 0.952)
O (0.803, 0.257, 0.951)
Cr (0.000, 0.500, 0.000)
Cr (0.500, 0.500, 0.500)

Entry from the Materials Project: MgMn6O6F6 after structural relaxation (PBE with a Hubbard U).

Results
Space group: No. 1
Calculated volume: 12.79 Å³ per atom
Calculated formation energy: -2.4489 eV per atom

Lattice parameters (Å, degrees): 5.374 15.272 3.066 89.95 90.01 104.98
Element x y z (fractional)
O (0.279, 0.435, 0.010)
O (0.381, 0.095, 0.004)
O (0.694, 0.569, 0.010)
O (0.196, 0.778, 0.005)
O (0.792, 0.215, 0.003)
O (0.163, 0.934, 0.505)
Mn (0.586, 0.154, 0.504)
Mn (0.140, 0.295, 0.005)
Mn (0.057, 0.997, 0.004)
Mn (0.834, 0.707, 0.009)
Mn (0.486, 0.501, 0.510)
Mn (0.382, 0.845, 0.505)
Mg (0.987, 0.502, 0.010)
F (0.353, 0.264, 0.505)
F (0.637, 0.748, 0.509)
F (0.904, 0.054, 0.504)
F (0.796, 0.429, 0.510)
F (0.640, 0.905, 0.005)
F (0.178, 0.575, 0.509)

Entry from the Materials Project: NaLaZrFeO6 after structural relaxation (PBE with a Hubbard U).

Results
Space group: No. 216
Calculated volume: 12.85 Å³ per atom
Calculated formation energy: -2.7233 eV per atom

Lattice parameters (Å, degrees): 5.665 5.665 5.665 60.00 60.00 60.00
Element x y z (fractional)
O (0.758, 0.758, 0.242)
O (0.758, 0.242, 0.758)
O (0.242, 0.758, 0.242)
O (0.242, 0.242, 0.758)
O (0.758, 0.242, 0.242)
O (0.242, 0.758, 0.758)
Zr (0.500, 0.500, 0.500)
La (0.750, 0.750, 0.750)
Na (0.250, 0.250, 0.250)
Fe (0.000, 0.000, 0.000)

Entry from the Materials Project: Li5Mn3O8 after structural relaxation (PBE with a Hubbard U).

Results
Space group: No. 2
Calculated volume: 8.92 Å³ per atom
Calculated formation energy: -2.1500 eV per atom

Lattice parameters (Å, degrees): 4.986 9.806 5.937 88.73 89.16 79.63
Element x y z (fractional)
Li (0.250, 0.750, 0.250)
Li (0.258, 0.253, 0.489)
Li (0.250, 0.750, 0.750)
Li (0.741, 0.750, 0.480)
Li (0.750, 0.250, 0.250)
Li (0.998, 0.502, 0.249)
Li (0.502, 0.998, 0.251)
Li (0.242, 0.247, 0.011)
Li (0.750, 0.250, 0.750)
Li (0.759, 0.750, 0.019)
O (0.861, 0.390, 0.516)
O (0.139, 0.612, 0.514)
O (0.399, 0.386, 0.260)
O (0.356, 0.385, 0.728)
O (0.865, 0.388, 0.981)
O (0.101, 0.114, 0.240)
O (0.607, 0.622, 0.270)
O (0.639, 0.110, 0.985)
O (0.634, 0.608, 0.739)
O (0.144, 0.115, 0.772)
O (0.361, 0.888, 0.987)
O (0.893, 0.878, 0.230)
O (0.635, 0.112, 0.519)
O (0.866, 0.892, 0.760)
O (0.134, 0.607, 0.975)
O (0.367, 0.893, 0.525)
Mn (0.500, 0.501, 0.491)
Mn (0.499, 0.002, 0.756)
Mn (0.001, 0.498, 0.744)
Mn (0.999, 0.001, 0.498)
Mn (0.502, 0.499, 0.002)
Mn (0.000, 0.999, 0.010)

Entry from the Materials Project: Li7Mn8B8O24 after structural relaxation (PBE with a Hubbard U).

Results
Space group: No. 1
Calculated volume: 10.71 Å³ per atom
Calculated formation energy: -2.4843 eV per atom

Lattice parameters (Å, degrees): 5.286 9.103 11.628 112.84 101.67 89.53
Element x y z (fractional)
B (0.143, 0.643, 0.625)
B (0.115, 0.264, 0.882)
B (0.853, 0.354, 0.370)
B (0.894, 0.725, 0.124)
B (0.361, 0.863, 0.377)
B (0.594, 0.758, 0.869)
B (0.648, 0.144, 0.627)
B (0.393, 0.250, 0.129)
O (0.879, 0.286, 0.927)
O (0.293, 0.403, 0.161)
O (0.608, 0.227, 0.075)
O (0.256, 0.395, 0.891)
O (0.506, 0.277, 0.643)
O (0.561, 0.024, 0.661)
O (0.115, 0.861, 0.406)
O (0.007, 0.776, 0.638)
O (0.436, 0.979, 0.339)
O (0.678, 0.603, 0.835)
O (0.354, 0.790, 0.905)
O (0.934, 0.454, 0.313)
O (0.191, 0.110, 0.833)
O (0.786, 0.871, 0.160)
O (0.615, 0.374, 0.406)
O (0.128, 0.706, 0.083)
O (0.279, 0.133, 0.150)
O (0.772, 0.596, 0.135)
O (0.877, 0.133, 0.583)
O (0.372, 0.627, 0.579)
O (0.742, 0.877, 0.863)
O (0.054, 0.523, 0.658)
O (0.014, 0.244, 0.393)
O (0.526, 0.748, 0.392)
Mn (0.088, 0.598, 0.872)
Mn (0.597, 0.087, 0.872)
Mn (0.909, 0.374, 0.120)
Mn (0.645, 0.474, 0.620)
Mn (0.347, 0.535, 0.373)
Mn (0.385, 0.903, 0.115)
Mn (0.147, 0.976, 0.617)
Mn (0.846, 0.018, 0.361)
Li (0.328, 0.184, 0.335)
Li (0.391, 0.546, 0.085)
Li (0.131, 0.297, 0.585)
Li (0.074, 0.902, 0.833)
Li (0.638, 0.801, 0.593)
Li (0.829, 0.678, 0.326)
Li (0.573, 0.401, 0.837)

> calculated volume of number 3 (CaSm4V4O12)?

13.09 Å³ per atom

> Number 6 is which compound?

MgMn6O6F6